a:
Below is Li5Mn3Sb2O10 after structural relaxation, with properties calculated at the GGA+U level.

Unit cell a=5.374 b=8.338 c=10.845 alpha=101.55 beta=100.41 gamma=108.66
Positions (direct):
Li (0.500, 0.500, 0.250)
Li (0.500, 0.500, 0.750)
Li (0.885, 0.399, 0.120)
Li (0.885, 0.399, 0.621)
Li (0.115, 0.601, 0.379)
Li (0.115, 0.601, 0.880)
Li (0.292, 0.775, 0.189)
Li (0.292, 0.775, 0.689)
Li (0.708, 0.225, 0.311)
Li (0.708, 0.225, 0.811)
Mn (0.500, 0.000, 0.500)
Mn (0.895, 0.893, 0.845)
Mn (0.105, 0.107, 0.155)
Mn (0.500, 0.000, 0.000)
Mn (0.895, 0.893, 0.345)
Mn (0.105, 0.107, 0.655)
Sb (0.714, 0.697, 0.049)
Sb (0.714, 0.697, 0.549)
Sb (0.286, 0.303, 0.451)
Sb (0.286, 0.303, 0.951)
O (0.087, 0.842, 0.025)
O (0.086, 0.842, 0.525)
O (0.914, 0.158, 0.475)
O (0.913, 0.158, 0.975)
O (0.694, 0.925, 0.163)
O (0.694, 0.925, 0.663)
O (0.306, 0.075, 0.337)
O (0.306, 0.075, 0.837)
O (0.331, 0.547, 0.070)
O (0.331, 0.547, 0.570)
O (0.669, 0.453, 0.430)
O (0.669, 0.453, 0.930)
O (0.486, 0.249, 0.113)
O (0.485, 0.249, 0.613)
O (0.515, 0.751, 0.387)
O (0.515, 0.751, 0.887)
O (0.904, 0.654, 0.215)
O (0.904, 0.654, 0.714)
O (0.096, 0.346, 0.286)
O (0.096, 0.346, 0.786)

Calculated density ... 4.6 g cm⁻³

b:
Below is Li5Mn3Sb2O10 after structural relaxation, with properties calculated at the GGA+U level.

Unit cell a=5.368 b=8.325 c=10.886 alpha=101.24 beta=100.27 gamma=108.90
Positions (direct):
Li (0.505, 0.485, 0.243)
Li (0.509, 0.513, 0.755)
Li (0.868, 0.389, 0.119)
Li (0.884, 0.400, 0.625)
Li (0.117, 0.605, 0.376)
Li (0.096, 0.594, 0.881)
Li (0.290, 0.765, 0.174)
Li (0.294, 0.803, 0.702)
Li (0.705, 0.231, 0.308)
Li (0.706, 0.240, 0.825)
Mn (0.500, 0.000, 0.502)
Mn (0.900, 0.895, 0.844)
Mn (0.112, 0.110, 0.156)
Mn (0.500, 0.009, 0.001)
Mn (0.893, 0.890, 0.342)
Mn (0.104, 0.108, 0.661)
Sb (0.720, 0.697, 0.047)
Sb (0.707, 0.692, 0.546)
Sb (0.284, 0.304, 0.453)
Sb (0.276, 0.304, 0.947)
O (0.086, 0.850, 0.028)
O (0.067, 0.824, 0.515)
O (0.920, 0.162, 0.477)
O (0.898, 0.165, 0.981)
O (0.699, 0.916, 0.160)
O (0.688, 0.913, 0.656)
O (0.302, 0.080, 0.346)
O (0.293, 0.027, 0.813)
O (0.350, 0.559, 0.073)
O (0.329, 0.542, 0.566)
O (0.663, 0.453, 0.432)
O (0.733, 0.488, 0.928)
O (0.508, 0.242, 0.141)
O (0.475, 0.249, 0.609)
O (0.519, 0.751, 0.392)
O (0.524, 0.752, 0.891)
O (0.909, 0.654, 0.209)
O (0.887, 0.648, 0.705)
O (0.104, 0.348, 0.293)
O (0.074, 0.344, 0.778)

Calculated density ... 4.6 g cm⁻³

b is the most stable structure; the next one sits 1.6 kJ/mol of atoms above it.